Entry 1:
SN: relaxed, PBE.

Mass density in Mg/m³: 1.82
Volume in Å³ per cell: 168.3
Uncorrected energy in eV per atom: -5.6929
Total moment in μB per cell: 0.00

CIF file:
```
data_SN
_chemical_formula_sum 'S4 N4'
_cell_length_a 4.7571
_cell_length_b 4.5335
_cell_length_c 8.4217
_cell_angle_alpha 90.00
_cell_angle_beta 112.08
_cell_angle_gamma 90.00
_space_group_name_H-M_alt 'P 1'
_space_group_IT_number 1
loop_
_space_group_symop_operation_xyz
'x,y,z'
loop_
_atom_site_label
_atom_site_fract_x
_atom_site_fract_y
_atom_site_fract_z
S1 0.1665 0.2158 0.3352
S2 0.1665 0.2842 0.8352
S3 0.8335 0.7158 0.1648
S4 0.8335 0.7842 0.6648
N1 0.1228 0.5651 0.3128
N2 0.1228 0.9349 0.8128
N3 0.8772 0.0651 0.1872
N4 0.8772 0.4349 0.6872
```

Entry 2:
SN: relaxed, PBE.

Mass density in Mg/m³: 2.00
Volume in Å³ per cell: 76.5
Uncorrected energy in eV per atom: -5.5238
Total moment in μB per cell: 0.00

CIF file:
```
data_SN
_chemical_formula_sum 'S2 N2'
_cell_length_a 3.7962
_cell_length_b 4.4350
_cell_length_c 4.6198
_cell_angle_alpha 100.00
_cell_angle_beta 93.17
_cell_angle_gamma 91.08
_space_group_name_H-M_alt 'P 1'
_space_group_IT_number 1
loop_
_space_group_symop_operation_xyz
'x,y,z'
loop_
_atom_site_label
_atom_site_fract_x
_atom_site_fract_y
_atom_site_fract_z
S1 0.1321 0.1867 0.1897
S2 0.8679 0.8133 0.8103
N1 0.0313 0.8142 0.1482
N2 0.9687 0.1858 0.8518
```

Entry 3:
SN: relaxed, PBE.

Mass density in Mg/m³: 1.84
Volume in Å³ per cell: 665.0
Uncorrected energy in eV per atom: -5.6860
Total moment in μB per cell: 0.00

CIF file:
```
data_SN
_chemical_formula_sum 'S16 N16'
_cell_length_a 9.1838
_cell_length_b 7.7069
_cell_length_c 12.8611
_cell_angle_alpha 90.00
_cell_angle_beta 133.07
_cell_angle_gamma 90.00
_space_group_name_H-M_alt 'P 1'
_space_group_IT_number 1
loop_
_space_group_symop_operation_xyz
'x,y,z'
loop_
_atom_site_label
_atom_site_fract_x
_atom_site_fract_y
_atom_site_fract_z
S1 0.0492 0.2157 0.1433
S2 0.0492 0.2843 0.6433
S3 0.2070 0.7121 0.1415
S4 0.2070 0.7879 0.6415
S5 0.2849 0.5873 0.9885
S6 0.2849 0.9127 0.4885
S7 0.3112 0.5637 0.5367
S8 0.3112 0.9363 0.0367
S9 0.6888 0.0637 0.9633
S10 0.6888 0.4363 0.4633
S11 0.7151 0.0873 0.5115
S12 0.7151 0.4127 0.0115
S13 0.7930 0.2121 0.3585
S14 0.7930 0.2879 0.8585
S15 0.9508 0.7157 0.3567
S16 0.9508 0.7843 0.8567
N1 0.0234 0.2416 0.5072
N2 0.0234 0.2584 0.0072
N3 0.0517 0.6213 0.8449
N4 0.0517 0.8787 0.3449
N5 0.3254 0.6115 0.6671
N6 0.3254 0.8885 0.1671
N7 0.4001 0.7317 0.5188
N8 0.4001 0.7683 0.0188
N9 0.5999 0.2317 0.9812
N10 0.5999 0.2683 0.4812
N11 0.6746 0.1115 0.8329
N12 0.6746 0.3885 0.3329
N13 0.9483 0.1213 0.6551
N14 0.9483 0.3787 0.1551
N15 0.9766 0.7416 0.9928
N16 0.9766 0.7584 0.4928
```

Entry 4:
SN: relaxed, PBE.

Mass density in Mg/m³: 1.81
Volume in Å³ per cell: 675.2
Uncorrected energy in eV per atom: -5.6857
Total moment in μB per cell: 0.00

CIF file:
```
data_SN
_chemical_formula_sum 'S16 N16'
_cell_length_a 9.5133
_cell_length_b 9.2286
_cell_length_c 7.6912
_cell_angle_alpha 90.00
_cell_angle_beta 90.00
_cell_angle_gamma 90.00
_space_group_name_H-M_alt 'P 1'
_space_group_IT_number 1
loop_
_space_group_symop_operation_xyz
'x,y,z'
loop_
_atom_site_label
_atom_site_fract_x
_atom_site_fract_y
_atom_site_fract_z
S1 0.0233 0.2110 0.0746
S2 0.0233 0.7890 0.5746
S3 0.1411 0.4172 0.2844
S4 0.1411 0.5828 0.7844
S5 0.3589 0.0828 0.7844
S6 0.3589 0.9172 0.2844
S7 0.4767 0.2890 0.5746
S8 0.4767 0.7110 0.0746
S9 0.5233 0.2890 0.9254
S10 0.5233 0.7110 0.4254
S11 0.6411 0.0828 0.7156
S12 0.6411 0.9172 0.2156
S13 0.8589 0.4172 0.2156
S14 0.8589 0.5828 0.7156
S15 0.9767 0.2110 0.4254
S16 0.9767 0.7890 0.9254
N1 0.0000 0.1149 0.2500
N2 0.0000 0.4867 0.7500
N3 0.0000 0.5133 0.2500
N4 0.0000 0.8851 0.7500
N5 0.1591 0.3140 0.1143
N6 0.1591 0.6860 0.6143
N7 0.3409 0.1860 0.6143
N8 0.3409 0.8140 0.1143
N9 0.5000 0.0133 0.2500
N10 0.5000 0.3851 0.7500
N11 0.5000 0.6149 0.2500
N12 0.5000 0.9867 0.7500
N13 0.6591 0.1860 0.8857
N14 0.6591 0.8140 0.3857
N15 0.8409 0.3140 0.3857
N16 0.8409 0.6860 0.8857
```